1.
# PBE Nd2MgSe4, relaxed
data_Nd2MgSe4
_cell_length_a 7.733
_cell_length_b 9.016
_cell_length_c 13.690
_cell_angle_alpha 99.40
_cell_angle_beta 95.96
_cell_angle_gamma 90.29
_space_group_name_H-M_alt 'P 1'
_space_group_IT_number 1
loop_
_space_group_symop_operation_xyz
'x,y,z'
loop_
_atom_site_label
_atom_site_type_symbol
_atom_site_fract_x
_atom_site_fract_y
_atom_site_fract_z
_atom_site_occupancy
Nd1 Nd 0.131 0.443 0.308 1
Nd2 Nd 0.135 0.960 0.312 1
Nd3 Nd 0.255 0.132 0.000 1
Nd4 Nd 0.366 0.300 0.689 1
Nd5 Nd 0.634 0.700 0.311 1
Nd6 Nd 0.745 0.868 0.000 1
Nd7 Nd 0.865 0.040 0.688 1
Nd8 Nd 0.869 0.557 0.692 1
Mg1 Mg 0.251 0.621 0.994 1
Mg2 Mg 0.365 0.800 0.704 1
Mg3 Mg 0.635 0.200 0.296 1
Mg4 Mg 0.749 0.379 0.006 1
Se1 Se 0.092 0.412 0.100 1
Se2 Se 0.113 0.893 0.104 1
Se3 Se 0.199 0.549 0.623 1
Se4 Se 0.202 0.014 0.627 1
Se5 Se 0.305 0.719 0.384 1
Se6 Se 0.343 0.221 0.376 1
Se7 Se 0.384 0.839 0.894 1
Se8 Se 0.414 0.359 0.897 1
Se9 Se 0.586 0.641 0.103 1
Se10 Se 0.616 0.161 0.106 1
Se11 Se 0.657 0.779 0.624 1
Se12 Se 0.695 0.281 0.616 1
Se13 Se 0.798 0.986 0.373 1
Se14 Se 0.801 0.451 0.377 1
Se15 Se 0.887 0.107 0.896 1
Se16 Se 0.908 0.588 0.900 1
# Symmetry: P-1
# Energy relative to the elements (eV per atom): -1.752

***

2.
# PBE Er4Ge6Rh7, relaxed
data_Er4Ge6Rh7
_cell_length_a 7.255
_cell_length_b 7.255
_cell_length_c 7.255
_cell_angle_alpha 109.47
_cell_angle_beta 109.47
_cell_angle_gamma 109.47
_space_group_name_H-M_alt 'P 1'
_space_group_IT_number 1
loop_
_space_group_symop_operation_xyz
'x,y,z'
loop_
_atom_site_label
_atom_site_type_symbol
_atom_site_fract_x
_atom_site_fract_y
_atom_site_fract_z
_atom_site_occupancy
Er1 Er 0.000 0.000 0.500 1
Er2 Er 0.000 0.500 0.000 1
Er3 Er 0.500 0.000 0.000 1
Er4 Er 0.500 0.500 0.500 1
Ge1 Ge 0.000 0.319 0.319 1
Ge2 Ge 0.000 0.681 0.681 1
Ge3 Ge 0.319 0.000 0.319 1
Ge4 Ge 0.319 0.319 0.000 1
Ge5 Ge 0.681 0.000 0.681 1
Ge6 Ge 0.681 0.681 0.000 1
Rh1 Rh 0.000 0.000 0.000 1
Rh2 Rh 0.250 0.500 0.750 1
Rh3 Rh 0.250 0.750 0.500 1
Rh4 Rh 0.500 0.250 0.750 1
Rh5 Rh 0.500 0.750 0.250 1
Rh6 Rh 0.750 0.250 0.500 1
Rh7 Rh 0.750 0.500 0.250 1
# Symmetry: Im-3m
# Energy relative to the elements (eV per atom): -0.954

***

3.
# PBE Ho6AgGe2S14, relaxed
data_Ho6AgGe2S14
_cell_length_a 9.802
_cell_length_b 9.802
_cell_length_c 5.835
_cell_angle_alpha 90.00
_cell_angle_beta 90.00
_cell_angle_gamma 120.00
_space_group_name_H-M_alt 'P 1'
_space_group_IT_number 1
loop_
_space_group_symop_operation_xyz
'x,y,z'
loop_
_atom_site_label
_atom_site_type_symbol
_atom_site_fract_x
_atom_site_fract_y
_atom_site_fract_z
_atom_site_occupancy
Ho1 Ho 0.024 0.553 0.000 1
Ho2 Ho 0.309 0.113 0.500 1
Ho3 Ho 0.447 0.471 0.000 1
Ho4 Ho 0.529 0.976 0.000 1
Ho5 Ho 0.804 0.691 0.500 1
Ho6 Ho 0.887 0.196 0.500 1
Ag1 Ag 0.667 0.333 0.722 1
Ge1 Ge 0.000 0.000 0.077 1
Ge2 Ge 0.333 0.667 0.580 1
S1 S 0.000 0.000 0.697 1
S2 S 0.091 0.854 0.239 1
S3 S 0.146 0.237 0.239 1
S4 S 0.187 0.429 0.743 1
S5 S 0.242 0.813 0.743 1
S6 S 0.333 0.667 0.201 1
S7 S 0.404 0.176 0.952 1
S8 S 0.509 0.435 0.456 1
S9 S 0.565 0.074 0.456 1
S10 S 0.571 0.758 0.743 1
S11 S 0.763 0.909 0.239 1
S12 S 0.772 0.596 0.952 1
S13 S 0.824 0.228 0.952 1
S14 S 0.926 0.491 0.456 1
# Symmetry: P3
# Energy relative to the elements (eV per atom): -1.709

***

4.
# PBE TbErTi2Fe22, relaxed
data_TbErTi2Fe22
_cell_length_a 6.431
_cell_length_b 6.431
_cell_length_c 11.968
_cell_angle_alpha 90.09
_cell_angle_beta 90.09
_cell_angle_gamma 42.98
_space_group_name_H-M_alt 'P 1'
_space_group_IT_number 1
loop_
_space_group_symop_operation_xyz
'x,y,z'
loop_
_atom_site_label
_atom_site_type_symbol
_atom_site_fract_x
_atom_site_fract_y
_atom_site_fract_z
_atom_site_occupancy
Tb1 Tb 0.000 0.000 0.000 1
Er1 Er 0.500 0.500 0.500 1
Ti1 Ti 0.313 0.313 0.686 1
Ti2 Ti 0.813 0.813 0.187 1
Fe1 Fe 0.106 0.106 0.613 1
Fe2 Fe 0.112 0.112 0.388 1
Fe3 Fe 0.174 0.174 0.826 1
Fe4 Fe 0.175 0.175 0.182 1
Fe5 Fe 0.248 0.748 0.254 1
Fe6 Fe 0.248 0.748 0.752 1
Fe7 Fe 0.319 0.319 0.326 1
Fe8 Fe 0.384 0.384 0.116 1
Fe9 Fe 0.386 0.386 0.893 1
Fe10 Fe 0.497 0.997 0.002 1
Fe11 Fe 0.497 0.997 0.502 1
Fe12 Fe 0.607 0.607 0.114 1
Fe13 Fe 0.613 0.613 0.887 1
Fe14 Fe 0.674 0.674 0.327 1
Fe15 Fe 0.675 0.675 0.681 1
Fe16 Fe 0.748 0.248 0.254 1
Fe17 Fe 0.748 0.248 0.752 1
Fe18 Fe 0.819 0.819 0.824 1
Fe19 Fe 0.885 0.885 0.614 1
Fe20 Fe 0.888 0.888 0.395 1
Fe21 Fe 0.997 0.497 0.002 1
Fe22 Fe 0.997 0.497 0.502 1
# Symmetry: Cm
# Energy relative to the elements (eV per atom): -0.082

***

5.
# PBE Na4EuSi2Te6, relaxed
data_Na4EuSi2Te6
_cell_length_a 7.721
_cell_length_b 7.721
_cell_length_c 8.517
_cell_angle_alpha 98.73
_cell_angle_beta 98.73
_cell_angle_gamma 119.90
_space_group_name_H-M_alt 'P 1'
_space_group_IT_number 1
loop_
_space_group_symop_operation_xyz
'x,y,z'
loop_
_atom_site_label
_atom_site_type_symbol
_atom_site_fract_x
_atom_site_fract_y
_atom_site_fract_z
_atom_site_occupancy
Na1 Na 0.000 0.000 0.000 1
Na2 Na 0.336 0.664 0.000 1
Na3 Na 0.668 0.332 0.000 1
Na4 Na 0.835 0.165 0.500 1
Eu1 Eu 0.502 0.498 0.500 1
Si1 Si 0.121 0.785 0.354 1
Si2 Si 0.215 0.879 0.646 1
Te1 Te 0.088 0.439 0.256 1
Te2 Te 0.249 0.226 0.744 1
Te3 Te 0.400 0.065 0.258 1
Te4 Te 0.561 0.912 0.744 1
Te5 Te 0.774 0.751 0.256 1
Te6 Te 0.935 0.600 0.742 1
# Symmetry: C2
# Energy relative to the elements (eV per atom): -0.973

***

6.
# PBE PrPd3S4, relaxed
data_PrPd3S4
_cell_length_a 6.785
_cell_length_b 6.785
_cell_length_c 6.785
_cell_angle_alpha 90.00
_cell_angle_beta 90.00
_cell_angle_gamma 90.00
_space_group_name_H-M_alt 'P 1'
_space_group_IT_number 1
loop_
_space_group_symop_operation_xyz
'x,y,z'
loop_
_atom_site_label
_atom_site_type_symbol
_atom_site_fract_x
_atom_site_fract_y
_atom_site_fract_z
_atom_site_occupancy
Pr1 Pr 0.000 0.000 0.000 1
Pr2 Pr 0.500 0.500 0.500 1
Pd1 Pd 0.000 0.250 0.500 1
Pd2 Pd 0.000 0.750 0.500 1
Pd3 Pd 0.250 0.500 0.000 1
Pd4 Pd 0.500 0.000 0.250 1
Pd5 Pd 0.500 0.000 0.750 1
Pd6 Pd 0.750 0.500 0.000 1
S1 S 0.250 0.250 0.250 1
S2 S 0.250 0.250 0.750 1
S3 S 0.250 0.750 0.250 1
S4 S 0.250 0.750 0.750 1
S5 S 0.750 0.250 0.250 1
S6 S 0.750 0.250 0.750 1
S7 S 0.750 0.750 0.250 1
S8 S 0.750 0.750 0.750 1
# Symmetry: Pm-3n
# Energy relative to the elements (eV per atom): -1.161

***

7.
# PBE NdTmIn2, relaxed
data_NdTmIn2
_cell_length_a 5.379
_cell_length_b 5.379
_cell_length_c 5.379
_cell_angle_alpha 60.00
_cell_angle_beta 60.00
_cell_angle_gamma 60.00
_space_group_name_H-M_alt 'P 1'
_space_group_IT_number 1
loop_
_space_group_symop_operation_xyz
'x,y,z'
loop_
_atom_site_label
_atom_site_type_symbol
_atom_site_fract_x
_atom_site_fract_y
_atom_site_fract_z
_atom_site_occupancy
Nd1 Nd 0.000 0.000 0.000 1
Tm1 Tm 0.500 0.500 0.500 1
In1 In 0.250 0.250 0.250 1
In2 In 0.750 0.750 0.750 1
# Symmetry: Fm-3m
# Energy relative to the elements (eV per atom): -0.449

***

8.
# PBE La2Te3, relaxed
data_La2Te3
_cell_length_a 16.073
_cell_length_b 16.073
_cell_length_c 16.073
_cell_angle_alpha 144.97
_cell_angle_beta 144.97
_cell_angle_gamma 50.37
_space_group_name_H-M_alt 'P 1'
_space_group_IT_number 1
loop_
_space_group_symop_operation_xyz
'x,y,z'
loop_
_atom_site_label
_atom_site_type_symbol
_atom_site_fract_x
_atom_site_fract_y
_atom_site_fract_z
_atom_site_occupancy
La1 La 0.046 0.160 0.625 1
La2 La 0.168 0.168 0.000 1
La3 La 0.171 0.785 0.875 1
La4 La 0.215 0.090 0.386 1
La5 La 0.255 0.625 0.130 1
La6 La 0.375 0.505 0.630 1
La7 La 0.495 0.125 0.870 1
La8 La 0.535 0.421 0.375 1
La9 La 0.579 0.954 0.114 1
La10 La 0.582 0.082 0.500 1
La11 La 0.704 0.829 0.614 1
La12 La 0.832 0.832 0.000 1
La13 La 0.840 0.465 0.886 1
La14 La 0.875 0.745 0.370 1
La15 La 0.910 0.296 0.125 1
La16 La 0.918 0.418 0.500 1
Te1 Te 0.008 0.760 0.902 1
Te2 Te 0.073 0.470 0.247 1
Te3 Te 0.174 0.927 0.398 1
Te4 Te 0.186 0.439 0.094 1
Te5 Te 0.189 0.436 0.594 1
Te6 Te 0.221 0.323 0.747 1
Te7 Te 0.223 0.826 0.753 1
Te8 Te 0.240 0.143 0.248 1
Te9 Te 0.346 0.092 0.906 1
Te10 Te 0.404 0.811 0.246 1
Te11 Te 0.510 0.258 0.402 1
Te12 Te 0.527 0.779 0.102 1
Te13 Te 0.529 0.777 0.602 1
Te14 Te 0.561 0.654 0.746 1
Te15 Te 0.564 0.158 0.754 1
Te16 Te 0.576 0.473 0.253 1
Te17 Te 0.677 0.424 0.898 1
Te18 Te 0.742 0.145 0.252 1
Te19 Te 0.842 0.596 0.406 1
Te20 Te 0.855 0.107 0.598 1
Te21 Te 0.857 0.105 0.098 1
Te22 Te 0.893 0.490 0.748 1
Te23 Te 0.895 0.992 0.752 1
Te24 Te 0.908 0.814 0.254 1
# Symmetry: I-42d
# Energy relative to the elements (eV per atom): -1.857

***

9.
# PBE Na2NbIn3Si2S4O24, relaxed
data_Na2NbIn3Si2S4O24
_cell_length_a 8.938
_cell_length_b 8.947
_cell_length_c 23.434
_cell_angle_alpha 89.99
_cell_angle_beta 89.43
_cell_angle_gamma 60.06
_space_group_name_H-M_alt 'P 1'
_space_group_IT_number 1
loop_
_space_group_symop_operation_xyz
'x,y,z'
loop_
_atom_site_label
_atom_site_type_symbol
_atom_site_fract_x
_atom_site_fract_y
_atom_site_fract_z
_atom_site_occupancy
Na1 Na 0.000 0.000 0.000 1
Na2 Na 0.012 0.001 0.501 1
Na3 Na 0.350 0.325 0.326 1
Na4 Na 0.368 0.313 0.840 1
Na5 Na 0.675 0.688 0.666 1
Na6 Na 0.709 0.641 0.164 1
Nb1 Nb 0.346 0.342 0.177 1
Nb2 Nb 0.367 0.311 0.684 1
Nb3 Nb 0.705 0.666 0.019 1
In1 In 0.010 0.012 0.143 1
In2 In 0.024 0.995 0.646 1
In3 In 0.026 0.009 0.343 1
In4 In 0.026 0.996 0.852 1
In5 In 0.368 0.331 0.979 1
In6 In 0.370 0.321 0.480 1
In7 In 0.676 0.687 0.812 1
In8 In 0.689 0.676 0.518 1
In9 In 0.703 0.655 0.311 1
Si1 Si 0.029 0.293 0.247 1
Si2 Si 0.071 0.629 0.076 1
Si3 Si 0.312 0.986 0.746 1
Si4 Si 0.652 0.335 0.078 1
Si5 Si 0.662 0.033 0.578 1
Si6 Si 0.690 0.965 0.913 1
S1 S 0.029 0.694 0.745 1
S2 S 0.068 0.333 0.580 1
S3 S 0.319 0.700 0.246 1
S4 S 0.358 0.620 0.579 1
S5 S 0.362 0.038 0.079 1
S6 S 0.396 0.956 0.412 1
S7 S 0.403 0.665 0.914 1
S8 S 0.691 0.373 0.415 1
S9 S 0.722 0.002 0.248 1
S10 S 0.725 0.298 0.746 1
S11 S 0.978 0.379 0.913 1
S12 S 0.993 0.666 0.414 1
O1 O 0.003 0.202 0.192 1
O2 O 0.010 0.823 0.408 1
O3 O 0.050 0.813 0.089 1
O4 O 0.052 0.177 0.585 1
O5 O 0.062 0.767 0.796 1
O6 O 0.071 0.187 0.307 1
O7 O 0.149 0.364 0.918 1
O8 O 0.158 0.353 0.631 1
O9 O 0.159 0.499 0.134 1
O10 O 0.165 0.314 0.527 1
O11 O 0.168 0.508 0.419 1
O12 O 0.173 0.538 0.020 1
O13 O 0.191 0.523 0.734 1
O14 O 0.193 0.036 0.803 1
O15 O 0.207 0.311 0.236 1
O16 O 0.209 0.796 0.584 1
O17 O 0.214 0.769 0.300 1
O18 O 0.219 0.006 0.088 1
O19 O 0.224 0.970 0.409 1
O20 O 0.230 0.971 0.687 1
O21 O 0.236 0.830 0.913 1
O22 O 0.237 0.804 0.196 1
O23 O 0.332 0.547 0.526 1
O24 O 0.333 0.139 0.028 1
O25 O 0.334 0.169 0.734 1
O26 O 0.341 0.522 0.240 1
O27 O 0.371 0.514 0.630 1
O28 O 0.374 0.517 0.917 1
O29 O 0.375 0.134 0.416 1
O30 O 0.387 0.125 0.131 1
O31 O 0.477 0.856 0.465 1
O32 O 0.493 0.682 0.253 1
O33 O 0.499 0.674 0.965 1
O34 O 0.503 0.636 0.860 1
O35 O 0.503 0.874 0.361 1
O36 O 0.509 0.828 0.747 1
O37 O 0.514 0.151 0.917 1
O38 O 0.523 0.624 0.577 1
O39 O 0.525 0.358 0.136 1
O40 O 0.527 0.867 0.076 1
O41 O 0.530 0.144 0.635 1
O42 O 0.530 0.360 0.418 1
O43 O 0.543 0.323 0.737 1
O44 O 0.552 0.161 0.241 1
O45 O 0.574 0.297 0.023 1
O46 O 0.579 0.145 0.522 1
O47 O 0.653 0.521 0.071 1
O48 O 0.664 0.849 0.580 1
O49 O 0.670 0.882 0.855 1
O50 O 0.671 0.474 0.363 1
O51 O 0.693 0.853 0.254 1
O52 O 0.705 0.471 0.753 1
O53 O 0.706 0.836 0.970 1
O54 O 0.712 0.455 0.467 1
O55 O 0.791 0.189 0.796 1
O56 O 0.798 0.028 0.301 1
O57 O 0.826 0.222 0.693 1
O58 O 0.835 0.964 0.198 1
O59 O 0.845 0.178 0.084 1
O60 O 0.845 0.196 0.411 1
O61 O 0.849 0.017 0.587 1
O62 O 0.862 0.489 0.250 1
O63 O 0.870 0.471 0.966 1
O64 O 0.871 0.971 0.913 1
O65 O 0.877 0.641 0.071 1
O66 O 0.885 0.658 0.751 1
O67 O 0.888 0.691 0.466 1
O68 O 0.895 0.476 0.861 1
O69 O 0.895 0.491 0.579 1
O70 O 0.913 0.640 0.362 1
O71 O 0.989 0.208 0.914 1
O72 O 0.994 0.803 0.694 1
# Symmetry: P1
# Energy relative to the elements (eV per atom): -2.254

***

10.
# PBE Mg9Si5, relaxed
data_Mg9Si5
_cell_length_a 5.007
_cell_length_b 7.939
_cell_length_c 14.503
_cell_angle_alpha 83.90
_cell_angle_beta 83.62
_cell_angle_gamma 76.56
_space_group_name_H-M_alt 'P 1'
_space_group_IT_number 1
loop_
_space_group_symop_operation_xyz
'x,y,z'
loop_
_atom_site_label
_atom_site_type_symbol
_atom_site_fract_x
_atom_site_fract_y
_atom_site_fract_z
_atom_site_occupancy
Mg1 Mg 0.000 0.000 0.000 1
Mg2 Mg 0.002 0.607 0.037 1
Mg3 Mg 0.210 0.433 0.481 1
Mg4 Mg 0.246 0.623 0.649 1
Mg5 Mg 0.260 0.360 0.833 1
Mg6 Mg 0.320 0.735 0.342 1
Mg7 Mg 0.377 0.970 0.520 1
Mg8 Mg 0.393 0.995 0.801 1
Mg9 Mg 0.433 0.958 0.148 1
Mg10 Mg 0.455 0.551 0.147 1
Mg11 Mg 0.701 0.384 0.957 1
Mg12 Mg 0.746 0.950 0.339 1
Mg13 Mg 0.781 0.221 0.474 1
Mg14 Mg 0.805 0.385 0.669 1
Mg15 Mg 0.861 0.198 0.175 1
Mg16 Mg 0.867 0.998 0.663 1
Mg17 Mg 0.922 0.501 0.296 1
Mg18 Mg 0.995 0.768 0.844 1
Si1 Si 0.217 0.118 0.335 1
Si2 Si 0.253 0.271 0.043 1
Si3 Si 0.361 0.235 0.635 1
Si4 Si 0.474 0.351 0.313 1
Si5 Si 0.503 0.737 0.962 1
Si6 Si 0.574 0.641 0.790 1
Si7 Si 0.677 0.600 0.482 1
Si8 Si 0.838 0.135 0.831 1
Si9 Si 0.934 0.818 0.507 1
Si10 Si 0.966 0.806 0.181 1
# Symmetry: P1
# Energy relative to the elements (eV per atom): 0.068

***

11.
# PBE LiPH2O2, relaxed
data_LiPH2O2
_cell_length_a 5.489
_cell_length_b 5.489
_cell_length_c 6.589
_cell_angle_alpha 106.14
_cell_angle_beta 106.14
_cell_angle_gamma 60.28
_space_group_name_H-M_alt 'P 1'
_space_group_IT_number 1
loop_
_space_group_symop_operation_xyz
'x,y,z'
loop_
_atom_site_label
_atom_site_type_symbol
_atom_site_fract_x
_atom_site_fract_y
_atom_site_fract_z
_atom_site_occupancy
Li1 Li 0.250 0.750 0.000 1
Li2 Li 0.750 0.250 0.000 1
P1 P 0.190 0.190 0.726 1
P2 P 0.810 0.810 0.274 1
H1 H 0.047 0.643 0.416 1
H2 H 0.357 0.953 0.584 1
H3 H 0.643 0.047 0.416 1
H4 H 0.953 0.357 0.584 1
O1 O 0.083 0.083 0.856 1
O2 O 0.356 0.356 0.843 1
O3 O 0.644 0.644 0.157 1
O4 O 0.917 0.917 0.144 1
# Symmetry: C2/m
# Energy relative to the elements (eV per atom): -1.618

***

12.
# PBE PrYTl2, relaxed
data_PrYTl2
_cell_length_a 5.475
_cell_length_b 5.475
_cell_length_c 5.475
_cell_angle_alpha 60.00
_cell_angle_beta 60.00
_cell_angle_gamma 60.00
_space_group_name_H-M_alt 'P 1'
_space_group_IT_number 1
loop_
_space_group_symop_operation_xyz
'x,y,z'
loop_
_atom_site_label
_atom_site_type_symbol
_atom_site_fract_x
_atom_site_fract_y
_atom_site_fract_z
_atom_site_occupancy
Pr1 Pr 0.000 0.000 0.000 1
Y1 Y 0.500 0.500 0.500 1
Tl1 Tl 0.250 0.250 0.250 1
Tl2 Tl 0.750 0.750 0.750 1
# Symmetry: Fm-3m
# Energy relative to the elements (eV per atom): -0.388

***

13.
# PBE CeSe2, relaxed
data_CeSe2
_cell_length_a 7.058
_cell_length_b 7.058
_cell_length_c 7.058
_cell_angle_alpha 90.00
_cell_angle_beta 90.00
_cell_angle_gamma 90.00
_space_group_name_H-M_alt 'P 1'
_space_group_IT_number 1
loop_
_space_group_symop_operation_xyz
'x,y,z'
loop_
_atom_site_label
_atom_site_type_symbol
_atom_site_fract_x
_atom_site_fract_y
_atom_site_fract_z
_atom_site_occupancy
Ce1 Ce 0.000 0.000 0.000 1
Ce2 Ce 0.000 0.500 0.500 1
Ce3 Ce 0.500 0.000 0.500 1
Ce4 Ce 0.500 0.500 0.000 1
Se1 Se 0.168 0.668 0.832 1
Se2 Se 0.168 0.832 0.332 1
Se3 Se 0.332 0.168 0.832 1
Se4 Se 0.332 0.332 0.332 1
Se5 Se 0.668 0.668 0.668 1
Se6 Se 0.668 0.832 0.168 1
Se7 Se 0.832 0.168 0.668 1
Se8 Se 0.832 0.332 0.168 1
# Symmetry: Pa-3
# Energy relative to the elements (eV per atom): -1.766